Computed, not measured: a relaxed U2CuSi2O18 crystal at the PBE-GGA level of DFT. Values from VASP.

```
&SYSTEM
  ibrav = 0, nat = 23, ntyp = 4
/
ATOMIC_SPECIES
O 16.00 O.upf
U 238.03 U.upf
Cu 63.55 Cu.upf
Si 28.09 Si.upf
CELL_PARAMETERS angstrom
-6.825 0.000 0.000
-0.072 -7.054 0.000
2.725 2.697 7.989
ATOMIC_POSITIONS angstrom
O -2.314 -4.699 3.794
O 0.518 -0.311 7.849
O -4.777 0.951 5.924
O 0.606 -5.308 2.065
O -3.865 -2.223 4.728
O 0.005 -2.589 6.094
O 2.404 -2.575 7.716
O -4.176 -1.768 1.895
O -1.678 0.920 6.225
O 0.706 -0.485 4.041
O -4.878 -3.872 3.948
O 0.545 2.179 7.865
O -2.493 -5.276 1.764
O -0.307 -2.134 3.261
O -6.576 -1.782 0.273
O -1.858 0.342 4.195
O -4.689 -4.046 0.140
O -4.717 -6.536 0.124
U 0.181 -2.593 7.912
U -4.353 -1.764 0.078
Cu 1.327 -2.178 3.995
Si -5.713 -5.282 0.485
Si 1.541 0.925 7.504
```

Space-group type: P-1 (2)
E_form in eV per formula unit: -38.0
Calculated volume in Å³ per cell: 384.65
Electronic total energy in eV per atom: -6.620

***

Computed, not measured: a relaxed ZnSb2O4 crystal at the PBE-GGA level of DFT. Values from VASP.

```
&SYSTEM
  ibrav = 0, nat = 28, ntyp = 3
/
ATOMIC_SPECIES
O 16.00 O.upf
Zn 65.41 Zn.upf
Sb 121.76 Sb.upf
CELL_PARAMETERS angstrom
-2.284 1.027 1.864
-1.612 -9.012 2.992
9.445 1.820 10.571
ATOMIC_POSITIONS angstrom
O 6.307 -1.261 9.730
O -0.757 -4.903 5.696
O 4.135 -2.793 10.527
O 0.326 -6.639 7.980
O 6.663 -3.599 11.455
O -1.114 -2.566 3.971
O 0.690 -0.274 4.917
O 1.262 -4.077 7.715
O 4.288 -2.087 7.711
O -1.168 -0.195 2.598
O 1.415 -3.372 4.899
O 5.676 1.855 9.854
O 6.718 -5.969 12.828
O -0.126 -8.019 5.573
O 5.224 0.475 7.447
O 4.860 -5.891 10.509
Zn 3.807 -0.385 8.799
Zn 1.743 -5.779 6.628
Zn 0.243 -1.717 2.551
Zn 5.307 -4.447 12.875
Sb -0.101 -4.580 3.707
Sb 1.173 -2.376 6.668
Sb 2.662 0.303 4.402
Sb 2.887 -6.468 11.024
Sb 4.377 -3.789 8.758
Sb 5.651 -1.585 11.719
Sb -2.054 -7.348 5.455
Sb 7.603 1.183 9.972
```

Space-group type: Pnma (62)
E_form in eV per formula unit: -10.2
Calculated volume in Å³ per cell: 429.72
Energy above the most stable polymorph in this dataset in eV per atom: 0.288
Electronic total energy in eV per atom: -5.256

***

Computed, not measured: a relaxed NbB5O10 crystal at the PBE-GGA level of DFT. Values from VASP.

```
&SYSTEM
  ibrav = 0, nat = 64, ntyp = 3
/
ATOMIC_SPECIES
O 16.00 O.upf
B 10.81 B.upf
Nb 92.91 Nb.upf
CELL_PARAMETERS angstrom
15.103 0.000 0.000
0.000 7.444 0.000
0.000 0.203 7.442
ATOMIC_POSITIONS angstrom
O 12.706 4.114 6.798
O 0.788 1.019 2.051
O 1.310 5.970 6.321
O 2.889 0.068 1.333
O 12.214 7.579 6.109
O 4.663 3.790 1.333
O 12.744 7.368 3.733
O 6.241 2.248 6.321
O 5.192 4.001 3.709
O 5.155 7.256 0.644
O 1.242 6.075 2.368
O 3.390 3.992 5.261
O 10.941 7.378 2.181
O 10.494 0.407 4.460
O 9.948 0.392 6.798
O 11.713 3.656 2.181
O 8.339 2.906 5.391
O 14.334 6.807 1.264
O 14.642 4.510 1.713
O 13.861 1.572 5.074
O 7.090 6.859 5.728
O 8.862 5.399 1.120
O 10.440 3.857 6.109
O 2.396 3.534 0.644
O 2.359 0.279 3.709
O 6.310 2.353 2.368
O 8.013 0.788 1.713
O 8.793 5.294 5.074
O 9.910 3.646 3.733
O 8.320 3.085 1.264
O 0.769 0.840 6.178
O 6.783 4.562 6.178
O 12.161 4.129 4.460
O 14.315 6.628 5.391
O 13.793 1.677 1.120
O 4.609 7.240 2.981
O 0.461 3.137 5.728
O 2.942 3.518 2.981
O 4.162 0.270 5.261
O 6.763 4.741 2.051
B 3.666 0.110 3.950
B 13.290 0.189 5.081
B 5.738 3.736 2.360
B 1.813 7.458 2.360
B 11.218 3.815 3.492
B 3.372 3.608 1.666
B 10.923 0.317 5.776
B 7.601 5.541 5.623
B 7.502 2.106 1.818
B 9.365 3.911 5.081
B 15.054 1.819 5.623
B 3.885 3.832 3.950
B 7.163 3.252 5.937
B 0.388 6.974 5.937
B 7.940 4.395 1.504
B 0.049 5.828 1.818
B 11.731 4.039 5.776
B 4.180 7.330 1.666
B 11.437 7.537 3.492
B 14.715 0.673 1.504
Nb 1.882 4.191 6.349
Nb 13.221 3.456 1.093
Nb 9.433 7.178 1.093
Nb 5.670 0.469 6.349
```

Space-group type: P2_1/c (14)
E_form in eV per formula unit: -44.6
Calculated volume in Å³ per cell: 836.63
Electronic total energy in eV per atom: -8.172

***

Computed, not measured: a relaxed MgBr2O12 crystal at the PBE-GGA level of DFT. Values from VASP.

```
&SYSTEM
  ibrav = 0, nat = 60, ntyp = 3
/
ATOMIC_SPECIES
O 16.00 O.upf
Br 79.90 Br.upf
Mg 24.30 Mg.upf
CELL_PARAMETERS angstrom
-4.351 -7.432 4.610
5.476 1.700 7.909
-6.820 6.107 3.409
ATOMIC_POSITIONS angstrom
O 0.640 -0.561 10.891
O -1.775 4.897 7.062
O -1.251 1.972 5.984
O -4.432 4.412 6.665
O -2.650 2.483 9.299
O -7.872 -0.325 9.375
O -5.223 -3.614 6.571
O 0.353 3.457 7.369
O -6.335 0.936 5.037
O -3.968 1.844 6.206
O -0.276 0.744 7.552
O -5.774 -0.384 12.078
O -3.920 -4.523 8.866
O -9.294 -2.079 7.734
O -3.045 -2.108 6.629
O -0.472 3.989 9.357
O -2.299 4.228 11.261
O -4.285 3.516 4.176
O -4.734 1.883 9.759
O 1.258 -3.939 11.550
O 1.714 -0.274 8.973
O -3.946 -0.059 5.068
O -1.749 0.433 10.860
O -3.267 -6.331 5.946
O 0.079 0.759 3.850
O -6.727 3.190 7.681
O -4.375 1.821 12.526
O -0.961 -1.508 6.170
O -4.715 4.310 8.862
O 2.177 0.699 6.553
O -2.428 6.706 9.982
O -1.410 -3.141 11.752
O 0.987 1.968 10.468
O -3.396 -3.853 4.667
O -4.444 -1.597 9.944
O -6.682 -1.593 5.460
O 3.599 2.454 8.194
O -1.263 -4.037 9.263
O -6.048 -3.083 8.559
O -3.286 -0.552 12.972
O -1.319 -1.446 3.402
O -1.727 -1.469 9.722
O -7.409 0.649 6.955
O -6.953 4.314 4.378
O -5.419 -0.369 8.376
O 1.032 -2.815 8.247
O -0.980 -3.935 7.066
O -2.409 0.927 2.956
Br -5.012 3.115 5.688
Br -2.181 4.124 9.543
Br -3.514 -3.749 6.385
Br -1.485 0.098 4.153
Br -0.683 -2.740 10.240
Br -7.041 -0.732 7.920
Br -4.210 0.277 11.776
Br 1.346 1.107 8.008
Mg 0.562 -2.866 6.260
Mg -5.585 -0.663 4.010
Mg 0.000 0.000 0.000
Mg -0.672 3.904 5.659
```

Space-group type: Pa-3 (205)
E_form in eV per formula unit: 3.2
Calculated volume in Å³ per cell: 932.20
Electronic total energy in eV per atom: -3.522

***

Computed, not measured: a relaxed ScAl2Ni crystal at the PBE-GGA level of DFT. Values from VASP.

```
&SYSTEM
  ibrav = 0, nat = 8, ntyp = 3
/
ATOMIC_SPECIES
Ni 58.69 Ni.upf
Al 26.98 Al.upf
Sc 44.96 Sc.upf
CELL_PARAMETERS angstrom
2.006 -4.772 0.000
2.006 4.772 0.000
0.000 0.000 6.686
ATOMIC_POSITIONS angstrom
Ni 2.006 -2.009 1.672
Ni 2.006 2.009 5.015
Al 2.006 -3.379 6.347
Al 2.006 3.379 3.004
Al 2.006 -3.379 3.682
Al 2.006 3.379 0.339
Sc 2.006 0.641 1.672
Sc 2.006 -0.641 5.015
```

Space-group type: Cmcm (63)
E_form in eV per formula unit: -2.6
Calculated volume in Å³ per cell: 127.99
Electronic total energy in eV per atom: -5.558

***

Computed, not measured: a relaxed MgZn3 crystal at the PBE-GGA level of DFT. Values from VASP.

```
&SYSTEM
  ibrav = 0, nat = 4, ntyp = 2
/
ATOMIC_SPECIES
Zn 65.41 Zn.upf
Mg 24.30 Mg.upf
CELL_PARAMETERS angstrom
2.450 2.920 3.010
-2.736 0.453 3.987
1.465 -4.002 -2.328
ATOMIC_POSITIONS angstrom
Zn -0.707 -0.931 2.579
Zn -0.143 1.686 3.499
Zn 1.886 0.302 2.090
Mg 0.000 0.000 0.000
```

Space-group type: I4/mmm (139)
E_form in eV per formula unit: -0.1
Calculated volume in Å³ per cell: 65.92
Electronic total energy in eV per atom: -1.380

***

Computed, not measured: a relaxed BeI2 crystal at the PBE-GGA level of DFT. Values from VASP.

```
&SYSTEM
  ibrav = 0, nat = 48, ntyp = 2
/
ATOMIC_SPECIES
I 126.90 I.upf
Be 9.01 Be.upf
CELL_PARAMETERS angstrom
-6.497 6.497 10.693
6.497 -6.497 10.693
6.497 6.497 -10.693
ATOMIC_POSITIONS angstrom
I 3.711 7.052 -0.021
I 0.000 0.000 7.855
I 4.194 3.249 8.020
I 7.052 2.786 5.326
I 5.942 -3.711 10.714
I 0.555 2.786 10.714
I 3.711 0.555 5.368
I 2.786 -0.555 10.672
I -2.786 5.942 5.368
I 5.942 -2.786 5.326
I 6.497 0.000 8.185
I 0.555 10.208 0.021
I 0.000 0.000 13.532
I 0.000 6.497 2.508
I 0.000 0.000 2.839
I 9.746 2.303 2.673
I 0.000 0.000 18.548
I 3.711 5.942 10.672
I 2.786 0.555 -0.021
I 0.555 3.711 5.326
I 2.786 7.052 5.368
I 9.283 -0.555 5.368
I -0.555 9.283 5.326
I -3.249 4.194 13.366
I 5.942 3.711 0.021
I 2.303 3.249 -2.673
I 8.800 3.249 -2.673
I -2.303 3.249 8.020
I 3.249 4.194 2.673
I 0.000 6.497 8.185
I 6.497 0.000 2.508
I 3.249 2.303 13.366
Be 5.453 1.610 6.700
Be -1.044 1.610 9.339
Be 11.384 1.044 1.354
Be -4.887 5.453 12.047
Be 1.044 8.107 6.700
Be 4.887 -1.044 3.993
Be 1.044 1.610 -1.354
Be 1.610 5.453 3.993
Be 4.887 5.453 1.354
Be 7.541 -1.610 6.700
Be -1.610 7.541 3.993
Be 1.610 1.044 12.047
Be 8.107 1.044 3.993
Be 5.453 4.887 9.339
Be 7.541 4.887 -1.354
Be -1.044 4.887 6.700
```

Space-group type: I4_1/acd (142)
E_form in eV per formula unit: -2.5
Calculated volume in Å³ per cell: 1805.56
Energy above the most stable polymorph in this dataset in eV per atom: 0.004
Electronic total energy in eV per atom: -2.836

***

Computed, not measured: a relaxed UMn2 crystal at the PBE-GGA level of DFT. Values from VASP.

```
&SYSTEM
  ibrav = 0, nat = 6, ntyp = 2
/
ATOMIC_SPECIES
Mn 54.94 Mn.upf
U 238.03 U.upf
CELL_PARAMETERS angstrom
-0.311 2.906 4.051
-2.116 4.514 -0.321
-4.436 0.837 2.138
ATOMIC_POSITIONS angstrom
Mn -1.916 3.289 0.573
Mn -1.014 2.485 2.759
Mn -0.858 1.032 0.734
Mn -3.076 1.450 1.803
U -3.432 4.128 2.935
U -5.147 6.192 4.402
```

Space-group type: Fd-3m (227)
E_form in eV per formula unit: -0.1
Calculated volume in Å³ per cell: 88.14
Electronic total energy in eV per atom: -9.902

***

Computed, not measured: a relaxed PrTe2Se crystal at the PBE-GGA level of DFT. Values from VASP.

```
&SYSTEM
  ibrav = 0, nat = 8, ntyp = 3
/
ATOMIC_SPECIES
Se 78.96 Se.upf
Pr 140.91 Pr.upf
Te 127.60 Te.upf
CELL_PARAMETERS angstrom
2.156 -13.238 0.000
2.156 13.238 0.000
0.000 0.000 4.324
ATOMIC_POSITIONS angstrom
Se 2.156 5.447 3.243
Se 2.156 -5.447 1.081
Pr 2.156 8.483 3.243
Pr 2.156 -8.483 1.081
Te 2.156 -2.080 3.243
Te 2.156 11.154 1.081
Te 2.156 -11.154 3.243
Te 2.156 2.080 1.081
```

Space-group type: Cmcm (63)
E_form in eV per formula unit: -5.1
Calculated volume in Å³ per cell: 246.87
Electronic total energy in eV per atom: -4.801

***

Computed, not measured: a relaxed MgZn3S4 crystal at the PBE-GGA level of DFT. Values from VASP.

```
&SYSTEM
  ibrav = 0, nat = 8, ntyp = 3
/
ATOMIC_SPECIES
S 32.06 S.upf
Mg 24.30 Mg.upf
Zn 65.41 Zn.upf
CELL_PARAMETERS angstrom
-0.954 -5.286 -1.226
2.247 0.748 -4.975
4.939 -1.362 2.026
ATOMIC_POSITIONS angstrom
S 1.520 -1.439 -1.019
S 3.561 -4.843 -0.609
S 2.182 -3.763 -4.194
S 5.200 -1.753 -2.528
Mg 3.116 -2.950 -2.087
Zn 1.124 0.374 -2.487
Zn 2.470 -0.681 1.013
Zn -0.477 -2.643 -0.613
```

Space-group type: P-43m (215)
E_form in eV per formula unit: -9.6
Calculated volume in Å³ per cell: 167.25
Electronic total energy in eV per atom: -3.693

***

Computed, not measured: a relaxed NiAsS crystal at the PBE-GGA level of DFT. Values from VASP.

```
&SYSTEM
  ibrav = 0, nat = 12, ntyp = 3
/
ATOMIC_SPECIES
As 74.92 As.upf
S 32.06 S.upf
Ni 58.69 Ni.upf
CELL_PARAMETERS angstrom
-0.550 -1.138 -5.554
-3.679 -4.174 1.220
-4.313 3.705 -0.332
ATOMIC_POSITIONS angstrom
As -4.445 2.322 -2.250
As -2.400 -2.135 -4.461
As -5.303 -0.997 -2.897
As -4.937 -2.402 0.275
S -6.143 0.574 -0.186
S -3.281 -0.617 -1.792
S -4.092 -3.961 -2.381
S -3.569 0.792 -4.973
Ni -4.004 -0.187 0.395
Ni -2.166 -2.651 -2.123
Ni -8.483 -1.595 -4.634
Ni -2.431 1.221 -2.971
```

Space-group type: P2_13 (198)
E_form in eV per formula unit: -1.5
Calculated volume in Å³ per cell: 184.79
Electronic total energy in eV per atom: -5.186

***

Computed, not measured: a relaxed Li3WN2 crystal at the PBE-GGA level of DFT. Values from VASP.

```
&SYSTEM
  ibrav = 0, nat = 48, ntyp = 3
/
ATOMIC_SPECIES
W 183.84 W.upf
N 14.01 N.upf
Li 6.94 Li.upf
CELL_PARAMETERS angstrom
-1.877 3.050 -7.722
-1.673 -5.455 -8.003
-5.729 -5.991 5.281
ATOMIC_POSITIONS angstrom
W -1.830 1.083 -7.787
W -1.720 -3.488 -7.938
W -5.144 -3.379 -7.297
W -7.070 -6.250 -7.729
W -2.982 0.735 -4.517
W -4.623 -3.676 2.076
W -4.135 -5.018 -3.147
W -2.209 -2.146 -2.715
N -3.701 -5.723 -1.361
N -1.523 0.280 -5.908
N -4.593 -5.730 1.848
N -1.728 -2.734 -0.793
N -7.756 -8.676 -4.536
N -2.864 -2.996 2.641
N 0.000 0.000 0.000
N -3.243 -2.817 -6.713
N -4.055 -2.953 -3.175
N -5.224 -5.444 -7.269
N -0.837 -2.728 -4.002
N -6.036 -5.580 -3.731
N -2.809 -5.717 -4.570
N -2.406 -0.089 -2.711
N -5.673 -8.712 -1.929
N -6.873 -8.308 -7.733
Li -3.582 -1.763 -8.816
Li -5.771 -7.664 -3.707
Li -3.735 -5.838 -8.698
Li -4.302 -2.111 -5.084
Li -5.379 -4.853 -0.217
Li -6.364 -6.531 1.051
Li -5.972 -3.210 -3.903
Li -4.977 -6.286 -5.360
Li -4.581 -0.955 -3.123
Li -3.307 -5.186 -6.540
Li -3.619 -3.560 -0.919
Li -5.660 -4.837 -9.525
Li -6.183 -5.576 3.159
Li -7.618 -6.581 -4.606
Li -1.661 -1.816 -5.838
Li -3.507 -0.733 -6.737
Li -5.696 -6.633 -1.628
Li -2.915 -1.866 -11.494
Li -2.607 -3.688 -4.910
Li -5.544 -2.559 -1.746
Li -3.096 -2.821 -13.603
Li -4.698 -7.442 -7.321
Li -6.672 -4.708 -5.534
Li -3.900 -3.544 -10.227
```

Space-group type: Ia-3 (206)
E_form in eV per formula unit: -2.5
Calculated volume in Å³ per cell: 474.78
Energy above the most stable polymorph in this dataset in eV per atom: 0.174
Electronic total energy in eV per atom: -6.187

***

What is the electronic total energy in the fourth record?
-3.522 eV per atom